1.
Computed, not measured: an optimized crystal structure of Sr2TiMnO6 at the GGA+U level of DFT.

Geometry as POSCAR:
```
Sr2TiMnO6
1.0
-1.832 2.596 -2.318
-0.958 5.376 6.777
5.741 5.144 1.225
Sr O Mn Ti
4 12 2 2
Direct
0.500 0.745 0.878 Sr
0.500 0.255 0.622 Sr
0.500 0.255 0.122 Sr
0.500 0.745 0.378 Sr
0.000 0.000 0.250 O
0.000 0.500 0.500 O
0.500 0.500 0.750 O
0.000 0.746 0.127 O
0.000 0.254 0.373 O
0.000 0.500 0.000 O
0.000 0.000 0.750 O
0.500 0.500 0.250 O
0.000 0.254 0.873 O
0.000 0.746 0.627 O
0.500 0.000 0.000 O
0.500 0.000 0.500 O
0.000 0.500 0.750 Mn
0.000 0.500 0.250 Mn
0.000 0.000 0.000 Ti
0.000 0.000 0.500 Ti
```

Energy with MP2020 corrections ... -8.02 eV per atom
Distance to the lowest polymorph of the same formula ... 0.019 eV per atom
Uncorrected energy ... -7.443 eV/atom

---

2.
Computed, not measured: an optimized crystal structure of VH20C2S2N6O13 at the GGA+U level of DFT.

Geometry as POSCAR:
```
VH20C2S2N6O13
1.0
7.398 0.000 0.000
-0.016 12.484 0.000
-1.438 -5.599 18.617
H O N C S V
80 52 24 8 8 4
Direct
0.209 0.451 0.208 H
0.071 0.011 0.649 H
0.696 0.754 0.782 H
0.156 0.713 0.983 H
0.502 0.202 0.244 H
0.639 0.968 0.096 H
0.168 0.661 0.570 H
0.367 0.578 0.102 H
0.315 0.224 0.074 H
0.844 0.287 0.017 H
0.392 0.389 0.780 H
0.498 0.798 0.756 H
0.428 0.680 0.419 H
0.330 0.211 0.982 H
0.813 0.062 0.957 H
0.215 0.727 0.074 H
0.023 0.874 0.351 H
0.608 0.611 0.220 H
0.280 0.844 0.422 H
0.786 0.581 0.075 H
0.685 0.776 0.926 H
0.907 0.297 0.755 H
0.297 0.512 0.650 H
0.361 0.032 0.904 H
0.618 0.656 0.578 H
0.703 0.488 0.350 H
0.794 0.075 0.252 H
0.833 0.841 0.434 H
0.978 0.113 0.221 H
0.626 0.049 0.792 H
0.597 0.037 0.581 H
0.282 0.748 0.220 H
0.717 0.963 0.431 H
0.167 0.159 0.566 H
0.996 0.182 0.429 H
0.053 0.537 0.569 H
0.304 0.246 0.218 H
0.826 0.928 0.899 H
0.667 0.682 0.426 H
0.746 0.082 0.077 H
0.791 0.549 0.792 H
0.382 0.344 0.422 H
0.214 0.419 0.925 H
0.720 0.156 0.578 H
0.390 0.628 0.650 H
0.718 0.252 0.780 H
0.187 0.938 0.043 H
0.743 0.540 0.585 H
0.093 0.703 0.245 H
0.299 0.514 0.287 H
0.206 0.925 0.748 H
0.896 0.467 0.096 H
0.701 0.486 0.713 H
0.832 0.339 0.430 H
0.977 0.126 0.649 H
0.572 0.320 0.581 H
0.653 0.556 0.956 H
0.687 0.984 0.712 H
0.022 0.887 0.779 H
0.929 0.989 0.351 H
0.947 0.463 0.431 H
0.333 0.318 0.574 H
0.610 0.372 0.350 H
0.804 0.573 0.251 H
0.670 0.789 0.018 H
0.254 0.918 0.923 H
0.283 0.037 0.569 H
0.403 0.963 0.419 H
0.196 0.427 0.749 H
0.174 0.072 0.101 H
0.004 0.818 0.571 H
0.257 0.460 0.415 H
0.104 0.533 0.904 H
0.785 0.273 0.926 H
0.347 0.444 0.044 H
0.374 0.951 0.208 H
0.313 0.016 0.288 H
0.771 0.822 0.583 H
0.633 0.422 0.898 H
0.229 0.178 0.417 H
0.671 0.718 0.091 O
0.396 0.733 0.599 O
0.029 0.939 0.332 O
0.677 0.548 0.230 O
0.788 0.411 0.624 O
0.521 0.886 0.154 O
0.269 0.983 0.237 O
0.994 0.624 0.285 O
0.914 0.049 0.231 O
0.329 0.282 0.909 O
0.431 0.091 0.376 O
0.135 0.783 0.909 O
0.006 0.376 0.715 O
0.325 0.483 0.237 O
0.796 0.319 0.212 O
0.043 0.871 0.124 O
0.382 0.877 0.714 O
0.479 0.114 0.846 O
0.852 0.244 0.779 O
0.786 0.820 0.213 O
0.497 0.282 0.806 O
0.052 0.766 0.401 O
0.507 0.369 0.122 O
0.204 0.681 0.788 O
0.503 0.718 0.194 O
0.562 0.746 0.780 O
0.569 0.909 0.624 O
0.948 0.234 0.599 O
0.731 0.017 0.763 O
0.214 0.180 0.787 O
0.074 0.219 0.195 O
0.618 0.123 0.286 O
0.597 0.437 0.331 O
0.971 0.061 0.668 O
0.675 0.517 0.763 O
0.237 0.906 0.604 O
0.148 0.756 0.221 O
0.086 0.951 0.769 O
0.865 0.217 0.091 O
0.886 0.593 0.394 O
0.114 0.407 0.606 O
0.037 0.387 0.154 O
0.604 0.267 0.401 O
0.763 0.094 0.396 O
0.963 0.613 0.846 O
0.493 0.631 0.878 O
0.957 0.129 0.876 O
0.212 0.589 0.376 O
0.438 0.254 0.220 O
0.323 0.452 0.770 O
0.926 0.781 0.805 O
0.403 0.563 0.669 O
0.952 0.383 0.435 N
0.549 0.725 0.432 N
0.311 0.175 0.022 N
0.825 0.499 0.060 N
0.264 0.387 0.428 N
0.285 0.115 0.562 N
0.693 0.476 0.944 N
0.689 0.825 0.978 N
0.048 0.617 0.565 N
0.194 0.676 0.023 N
0.304 0.000 0.940 N
0.736 0.613 0.572 N
0.217 0.021 0.055 N
0.783 0.979 0.945 N
0.116 0.224 0.431 N
0.175 0.501 0.940 N
0.696 0.000 0.060 N
0.599 0.113 0.572 N
0.884 0.776 0.569 N
0.307 0.524 0.056 N
0.451 0.275 0.568 N
0.401 0.887 0.428 N
0.715 0.885 0.438 N
0.806 0.324 0.977 N
0.110 0.331 0.430 C
0.890 0.669 0.570 C
0.555 0.832 0.432 C
0.227 0.567 0.006 C
0.445 0.168 0.568 C
0.773 0.433 0.994 C
0.276 0.065 0.005 C
0.724 0.935 0.995 C
0.396 0.856 0.634 S
0.036 0.643 0.365 S
0.056 0.714 0.839 S
0.964 0.357 0.635 S
0.604 0.144 0.366 S
0.944 0.286 0.161 S
0.619 0.785 0.161 S
0.381 0.215 0.839 S
0.557 0.395 0.208 V
0.025 0.897 0.210 V
0.975 0.103 0.790 V
0.443 0.605 0.792 V
```

Energy with MP2020 corrections ... -6.01 eV per atom
Uncorrected energy ... -5.773 eV/atom

---

3.
Computed, not measured: an optimized crystal structure of Li5Co3O8 at the GGA+U level of DFT.

Geometry as POSCAR:
```
Li5Co3O8
1.0
-2.634 -0.493 0.998
6.615 -16.347 9.386
1.971 1.291 1.742
Li O Co
5 8 3
Direct
0.254 0.624 0.508 Li
0.746 0.876 0.492 Li
0.754 0.372 0.508 Li
0.246 0.128 0.492 Li
0.500 0.250 0.000 Li
0.877 0.693 0.753 O
0.123 0.807 0.247 O
0.877 0.187 0.754 O
0.628 0.558 0.256 O
0.369 0.445 0.738 O
0.631 0.055 0.262 O
0.372 0.942 0.744 O
0.123 0.313 0.246 O
0.001 0.000 0.001 Co
0.999 0.500 0.999 Co
0.500 0.750 0.000 Co
```

Energy with MP2020 corrections ... -5.95 eV per atom
Distance to the lowest polymorph of the same formula ... 0.184 eV per atom
Uncorrected energy ... -5.303 eV/atom

---

Q: energy with MP2020 corrections of number 1 (Sr2TiMnO6)?
A: -8.02 eV per atom